## MnFeCoP3O12 (PBE with a Hubbard U)

Data for a relaxed MnFeCoP3O12 crystal.

- ΔE_f (meV/atom) = -2263
- V (A^3/atom) = 11.9
- excess energy over the best structure of this formula in the dataset (meV/atom) = 4
- total magnetic moment (μB/atom) = 0.722

Unit cell a=5.9565 b=9.8594 c=14.5490 alpha=89.88 beta=90.00 gamma=90.00
Closest atoms and distances in Å follow each position.
Sites, in units of the cell vectors:
Mn: 0.5000 0.7826 0.1474  4 O 1.89-2.03
Mn: 0.5000 0.7843 0.4806  4 O 1.90-2.00
Mn: 0.0000 0.7163 0.3140  4 O 1.91-2.00
Mn: 0.0000 0.7154 0.6465  4 O 1.90-2.00
Fe: 0.5000 0.7770 0.8207  4 O 1.92-2.05
Fe: 0.0000 0.7256 0.9878  4 O 1.91-2.06
Fe: 0.5000 0.2715 0.0097  6 O 1.93-2.13
Fe: 0.5000 0.2730 0.3454  4 O 1.92-2.08
Co: 0.5000 0.2771 0.6808  4 O 1.89-2.06
Co: 0.0000 0.2208 0.5177  4 O 1.93-2.02
Co: 0.0000 0.2276 0.1799  4 O 1.89-2.08
Co: 0.0000 0.2265 0.8429  4 O 1.88-2.09
P: 0.0000 0.9017 0.4725  4 O 1.53-1.56
P: 0.0000 0.9038 0.1397  4 O 1.53-1.57
P: 0.0000 0.9020 0.8055  4 O 1.53-1.56
P: 0.5000 0.5992 0.9735  4 O 1.52-1.57
P: 0.5000 0.5996 0.3065  4 O 1.52-1.57
P: 0.5000 0.5980 0.6393  4 O 1.53-1.56
P: 0.0000 0.3993 0.0279  4 O 1.53-1.57
P: 0.0000 0.4012 0.3629  4 O 1.54-1.56
P: 0.0000 0.4024 0.6941  4 O 1.53-1.57
P: 0.5000 0.0967 0.1933  4 O 1.52-1.57
P: 0.5000 0.0976 0.5288  4 O 1.52-1.58
P: 0.5000 0.0983 0.8604  4 O 1.52-1.57
O: 0.5000 0.9443 0.2175  1 P 1.54
O: 0.5000 0.9460 0.5524  1 P 1.53
O: 0.5000 0.9477 0.8846  1 P 1.52
O: 0.0000 0.8806 0.2435  1 P 1.53
O: 0.0000 0.8799 0.5773  1 P 1.54
O: 0.0000 0.8826 0.9101  1 P 1.53
O: 0.2016 0.8288 0.4246  1 P 1.56
O: 0.7984 0.8288 0.4246  1 P 1.56
O: 0.1993 0.8286 0.0903  1 P 1.57
O: 0.8007 0.8286 0.0903  1 P 1.57
O: 0.2041 0.8304 0.7589  1 P 1.56
O: 0.7959 0.8304 0.7589  1 P 1.56
O: 0.7014 0.6737 0.9253  1 P 1.57
O: 0.2986 0.6737 0.9253  1 P 1.57
O: 0.7017 0.6720 0.2578  1 P 1.57
O: 0.2983 0.6720 0.2578  1 P 1.57
O: 0.7014 0.6701 0.5909  1 P 1.56
O: 0.2986 0.6701 0.5909  1 P 1.56
O: 0.5000 0.6178 0.7432  1 P 1.53
O: 0.5000 0.6201 0.0782  1 P 1.54
O: 0.5000 0.6210 0.4109  1 P 1.54
O: 0.0000 0.5510 0.0492  1 P 1.53
O: 0.0000 0.5535 0.3849  1 P 1.54
O: 0.0000 0.5542 0.7185  1 P 1.54
O: 0.5000 0.4487 0.9523  1 P 1.52
O: 0.5000 0.4481 0.2856  1 P 1.52
O: 0.5000 0.4442 0.6164  1 P 1.55
O: 0.0000 0.3822 0.2571  1 P 1.55
O: 0.0000 0.3859 0.5895  1 P 1.53
O: 0.0000 0.3779 0.9233  1 P 1.54
O: 0.2031 0.3260 0.0759  1 P 1.57
O: 0.7969 0.3260 0.0759  1 P 1.57
O: 0.2019 0.3295 0.7431  1 P 1.57
O: 0.7981 0.3295 0.7431  1 P 1.57
O: 0.2026 0.3280 0.4097  1 P 1.56
O: 0.7974 0.3280 0.4097  1 P 1.56
O: 0.7006 0.1704 0.2422  1 P 1.57
O: 0.2994 0.1704 0.2422  1 P 1.57
O: 0.7041 0.1712 0.5765  1 P 1.58
O: 0.2959 0.1712 0.5765  1 P 1.58
O: 0.7003 0.1725 0.9086  1 P 1.57
O: 0.2997 0.1725 0.9086  1 P 1.57
O: 0.5000 0.1179 0.7550  1 P 1.54
O: 0.5000 0.1142 0.0893  1 P 1.52
O: 0.5000 0.1171 0.4250  1 P 1.52
O: 0.0000 0.0534 0.4496  1 P 1.53
O: 0.0000 0.0550 0.1163  1 P 1.53
O: 0.0000 0.0563 0.7842  1 P 1.55



## Mn3FeCo2P6O24 (PBE with a Hubbard U)

Data for a relaxed Mn3FeCo2P6O24 crystal.

- ΔE_f (meV/atom) = -2229
- V (A^3/atom) = 12.2
- total magnetic moment (μB/atom) = 0.599

Unit cell a=8.4740 b=8.4740 c=8.4740 alpha=60.88 beta=60.88 gamma=60.88
Closest atoms and distances in Å follow each position.
Sites, in units of the cell vectors:
Mn: 0.6423 0.6423 0.6423  6 O 1.88-1.99
Mn: 0.8569 0.8569 0.8569  6 O 1.92-2.04
Mn: 0.3569 0.3569 0.3569  6 O 1.93-2.03
Fe: 0.1440 0.1440 0.1440  6 O 1.94-2.08
Co: 0.0015 0.0015 0.0015  6 O 2.14-2.17
Co: 0.4993 0.4993 0.4993  6 O 2.17-2.18
P: 0.9566 0.2500 0.5453  4 O 1.52-1.58
P: 0.5453 0.9566 0.2500  4 O 1.52-1.58
P: 0.2500 0.5453 0.9566  4 O 1.52-1.58
P: 0.7493 0.4577 0.0396  4 O 1.53-1.57
P: 0.4577 0.0396 0.7493  4 O 1.53-1.57
P: 0.0396 0.7493 0.4577  4 O 1.53-1.57
O: 0.5117 0.1157 0.3118  1 P 1.53
O: 0.3118 0.5117 0.1157  1 P 1.53
O: 0.1157 0.3118 0.5117  1 P 1.53
O: 0.9379 0.0906 0.7453  1 P 1.56
O: 0.9920 0.1876 0.3877  1 P 1.52
O: 0.7569 0.4154 0.5589  1 P 1.58
O: 0.7453 0.9379 0.0906  1 P 1.56
O: 0.5589 0.7569 0.4154  1 P 1.58
O: 0.8135 0.6150 0.0063  1 P 1.53
O: 0.4154 0.5589 0.7569  1 P 1.58
O: 0.9080 0.2598 0.0563  1 P 1.55
O: 0.6150 0.0063 0.8135  1 P 1.53
O: 0.3877 0.9920 0.1876  1 P 1.52
O: 0.0906 0.7453 0.9379  1 P 1.56
O: 0.5857 0.4461 0.2380  1 P 1.57
O: 0.1876 0.3877 0.9920  1 P 1.52
O: 0.4461 0.2380 0.5857  1 P 1.57
O: 0.2598 0.0563 0.9080  1 P 1.55
O: 0.2380 0.5857 0.4461  1 P 1.57
O: 0.0063 0.8135 0.6150  1 P 1.53
O: 0.0563 0.9080 0.2598  1 P 1.55
O: 0.8798 0.6831 0.4976  1 P 1.54
O: 0.6831 0.4976 0.8798  1 P 1.54
O: 0.4976 0.8798 0.6831  1 P 1.54



## MnFeCoP3O12 (PBE with a Hubbard U)

Data for a relaxed MnFeCoP3O12 crystal.

- ΔE_f (meV/atom) = -2267
- V (A^3/atom) = 12.0
- excess energy over the best structure of this formula in the dataset (meV/atom) = 0
- total magnetic moment (μB/atom) = 0.722

Unit cell a=6.0088 b=9.8592 c=14.6355 alpha=89.83 beta=90.00 gamma=90.00
Closest atoms and distances in Å follow each position.
Sites, in units of the cell vectors:
Mn: 0.0000 0.2145 0.1470  4 O 1.90-2.03
Mn: 0.5000 0.2819 0.9788  4 O 1.90-2.04
Mn: 0.5000 0.2838 0.6451  4 O 1.90-2.04
Mn: 0.5000 0.2857 0.3108  4 O 1.92-2.01
Fe: 0.0000 0.2221 0.8203  4 O 1.92-2.06
Fe: 0.0000 0.2218 0.4874  4 O 1.93-2.06
Fe: 0.0000 0.7276 0.3447  6 O 1.94-2.14
Fe: 0.0000 0.7286 0.0105  6 O 1.94-2.12
Co: 0.0000 0.7305 0.6754  4 O 1.88-2.08
Co: 0.5000 0.7738 0.5110  2 O 1.86-1.88
Co: 0.5000 0.7707 0.8405  2 O 1.88-1.89
Co: 0.5000 0.7726 0.1765  2 O 1.87
P: 0.5000 0.0992 0.8063  4 O 1.55-1.56
P: 0.5000 0.0995 0.4736  4 O 1.55-1.56
P: 0.5000 0.0980 0.1398  4 O 1.54-1.56
P: 0.0000 0.4010 0.9727  4 O 1.52-1.58
P: 0.0000 0.4048 0.6393  4 O 1.52-1.58
P: 0.0000 0.4018 0.3053  4 O 1.53-1.57
P: 0.5000 0.6003 0.6944  4 O 1.54-1.57
P: 0.5000 0.6010 0.3613  4 O 1.54-1.57
P: 0.5000 0.6001 0.0268  4 O 1.54-1.57
P: 0.0000 0.8989 0.8613  4 O 1.53-1.57
P: 0.0000 0.9010 0.5310  4 O 1.53-1.58
P: 0.0000 0.9020 0.1957  4 O 1.53-1.57
O: 0.0000 0.0502 0.8830  1 P 1.53
O: 0.0000 0.0545 0.2193  1 P 1.54
O: 0.0000 0.0522 0.5541  1 P 1.53
O: 0.5000 0.1177 0.9113  1 P 1.55
O: 0.5000 0.1188 0.5786  1 P 1.55
O: 0.5000 0.1191 0.2438  1 P 1.54
O: 0.2973 0.1702 0.7597  1 P 1.56
O: 0.7027 0.1702 0.7597  1 P 1.56
O: 0.2994 0.1681 0.0908  1 P 1.56
O: 0.7006 0.1681 0.0908  1 P 1.56
O: 0.2967 0.1689 0.4270  1 P 1.56
O: 0.7033 0.1689 0.4270  1 P 1.56
O: 0.8021 0.3262 0.9232  1 P 1.58
O: 0.1979 0.3262 0.9232  1 P 1.58
O: 0.1980 0.3303 0.5895  1 P 1.58
O: 0.8020 0.3303 0.5895  1 P 1.58
O: 0.7994 0.3286 0.2572  1 P 1.57
O: 0.2006 0.3286 0.2572  1 P 1.57
O: 0.0000 0.3811 0.7421  1 P 1.52
O: 0.0000 0.3797 0.4088  1 P 1.53
O: 0.0000 0.3788 0.0765  1 P 1.53
O: 0.5000 0.4469 0.7150  1 P 1.54
O: 0.5000 0.4483 0.3823  1 P 1.54
O: 0.5000 0.4469 0.0483  1 P 1.54
O: 0.0000 0.5521 0.9510  1 P 1.52
O: 0.0000 0.5575 0.6172  1 P 1.54
O: 0.0000 0.5539 0.2829  1 P 1.53
O: 0.5000 0.6221 0.9225  1 P 1.54
O: 0.5000 0.6225 0.5898  1 P 1.55
O: 0.5000 0.6243 0.2566  1 P 1.55
O: 0.2993 0.6707 0.7436  1 P 1.57
O: 0.7007 0.6707 0.7436  1 P 1.57
O: 0.2984 0.6727 0.4090  1 P 1.57
O: 0.7016 0.6727 0.4090  1 P 1.57
O: 0.2984 0.6719 0.0750  1 P 1.57
O: 0.7016 0.6719 0.0750  1 P 1.57
O: 0.7992 0.8270 0.5797  1 P 1.58
O: 0.2008 0.8270 0.5797  1 P 1.58
O: 0.8005 0.8258 0.9100  1 P 1.57
O: 0.1995 0.8258 0.9100  1 P 1.57
O: 0.8004 0.8293 0.2448  1 P 1.57
O: 0.1996 0.8293 0.2448  1 P 1.57
O: 0.0000 0.8776 0.7567  1 P 1.55
O: 0.0000 0.8802 0.4276  1 P 1.53
O: 0.0000 0.8832 0.0920  1 P 1.53
O: 0.5000 0.9444 0.7876  1 P 1.55
O: 0.5000 0.9433 0.1210  1 P 1.55
O: 0.5000 0.9442 0.4557  1 P 1.55



## Mn3Fe2CoP6O24 (PBE with a Hubbard U)

Data for a relaxed Mn3Fe2CoP6O24 crystal.

- ΔE_f (meV/atom) = -2242
- V (A^3/atom) = 12.0
- total magnetic moment (μB/atom) = 0.556

Unit cell a=8.4441 b=8.4441 c=8.4441 alpha=60.71 beta=60.71 gamma=60.71
Closest atoms and distances in Å follow each position.
Sites, in units of the cell vectors:
Mn: 0.6413 0.6413 0.6413  6 O 1.91-1.99
Mn: 0.8588 0.8588 0.8588  6 O 1.92-2.01
Mn: 0.3580 0.3580 0.3580  6 O 1.91-2.01
Fe: 0.0010 0.0010 0.0010  6 O 2.14-2.16
Fe: 0.4993 0.4993 0.4993  6 O 2.16-2.18
Co: 0.1404 0.1404 0.1404  6 O 1.93-1.97
P: 0.9607 0.2484 0.5396  4 O 1.52-1.58
P: 0.5396 0.9607 0.2484  4 O 1.52-1.58
P: 0.2484 0.5396 0.9607  4 O 1.52-1.58
P: 0.7522 0.4583 0.0397  4 O 1.52-1.57
P: 0.4583 0.0397 0.7522  4 O 1.52-1.57
P: 0.0397 0.7522 0.4583  4 O 1.52-1.57
O: 0.5099 0.1177 0.3110  1 P 1.53
O: 0.3110 0.5099 0.1177  1 P 1.53
O: 0.1177 0.3110 0.5099  1 P 1.53
O: 0.9414 0.0891 0.7436  1 P 1.57
O: 0.9911 0.1861 0.3830  1 P 1.52
O: 0.7590 0.4129 0.5580  1 P 1.58
O: 0.7436 0.9414 0.0891  1 P 1.57
O: 0.5580 0.7590 0.4129  1 P 1.58
O: 0.8131 0.6173 0.0076  1 P 1.52
O: 0.4129 0.5580 0.7590  1 P 1.58
O: 0.9159 0.2580 0.0554  1 P 1.57
O: 0.6173 0.0076 0.8131  1 P 1.52
O: 0.3830 0.9911 0.1861  1 P 1.52
O: 0.0891 0.7436 0.9414  1 P 1.57
O: 0.5867 0.4456 0.2379  1 P 1.56
O: 0.1861 0.3830 0.9911  1 P 1.52
O: 0.4456 0.2379 0.5867  1 P 1.56
O: 0.2580 0.0554 0.9159  1 P 1.57
O: 0.2379 0.5867 0.4456  1 P 1.56
O: 0.0076 0.8131 0.6173  1 P 1.52
O: 0.0554 0.9159 0.2580  1 P 1.57
O: 0.8831 0.6835 0.4956  1 P 1.53
O: 0.6835 0.4956 0.8831  1 P 1.53
O: 0.4956 0.8831 0.6835  1 P 1.53